Density functional theory data (GGA-PBE) for a relaxed structure of Li8Pr7Ge10.

Computed properties:
The formation energy comes out at -0.685 eV/atom. The value obtained for the total magnetic moment is 0.00 μB per formula unit.

Geometry as CIF:
```
data_Li8Pr7Ge10
_chemical_formula_sum 'Li16 Pr14 Ge20'
_cell_length_a 6.965
_cell_length_b 33.796
_cell_length_c 4.470
_cell_angle_alpha 90.00
_cell_angle_beta 90.00
_cell_angle_gamma 90.00
_space_group_name_H-M_alt 'C m m m'
_space_group_IT_number 65
_space_group_name_Hall '-C 2 2'
loop_
_atom_site_label
_atom_site_type_symbol
_atom_site_fract_x
_atom_site_fract_y
_atom_site_fract_z
Li1 Li 0.187 0.144 0.000
Li2 Li 0.188 0.425 0.500
Pr1 Pr 0.000 0.058 0.000
Pr2 Pr 0.000 0.221 0.500
Pr3 Pr 0.000 0.339 0.500
Pr4 Pr 0.000 0.500 0.000
Ge1 Ge 0.000 0.127 0.500
Ge2 Ge 0.000 0.406 0.000
Ge3 Ge 0.182 0.285 0.000
Ge4 Ge 0.184 0.000 0.500
```